Computed, not measured: a relaxed CuSn3 crystal at the PBE level of DFT.

The space group is P6_3/mmc (No. 194) and the conventional cell measures 6.6229, 6.6229 and 5.0048 Å, with angles of 90.00, 90.00 and 120.00 degrees. The distinct sites, in fractional coordinates, are Cu at (0.3333, 0.6667, 0.2500) and Sn at (0.1723, 0.3447, 0.7500).

As for the crystal system: hexagonal. The value obtained for the formation energy is 0.23 eV/atom. The calculation puts the total energy at -30.45 eV per cell. Its energy relative to the lowest polymorph listed for this composition is 0.000 kcal/mol of atoms. As for the volume: 190.1 Å³ per cell.

---

Computed, not measured: a relaxed Sr3Cu8Sn4 crystal at the PBE level of DFT.

The space group is P6_3mc (No. 186) and the conventional cell measures 9.3815, 9.3815 and 7.9760 Å, with angles of 90.00, 90.00 and 120.00 degrees. The distinct sites, in fractional coordinates, are Sr at (0.0512, 0.5256, 0.0000), Cu at (0.0000, 0.0000, 0.2269), Cu at (0.0980, 0.1959, 0.9802), Cu at (0.1610, 0.3219, 0.6732), Cu at (0.3333, 0.6667, 0.3358), Sn at (0.1654, 0.3308, 0.2953) and Sn at (0.3333, 0.6667, 0.6822).

As for the crystal system: hexagonal. The value obtained for the formation energy is -0.26 eV/atom. The calculation puts the total energy at -115.70 eV per cell. As for the volume: 607.9 Å³ per cell.

---

Computed, not measured: a relaxed SrCuSn2 crystal at the PBE level of DFT.

The space group is Cmcm (No. 63) and the conventional cell measures 4.637, 19.590 and 4.577 Å, with angles of 90.00, 90.00 and 90.00 degrees. The distinct sites, in fractional coordinates, are Sr at (0.000, 0.108, 0.250), Cu at (0.000, 0.325, 0.250), Sn at (0.000, 0.250, 0.750) and Sn at (0.000, 0.457, 0.250).

As for the crystal system: orthorhombic. The value obtained for the formation energy is -0.42 eV/atom. The calculation puts the total energy at -62.01 eV per cell. As for the volume: 415.8 Å³ per cell.

---

Computed, not measured: a relaxed TbCuSn crystal at the PBE level of DFT.

The space group is P6_3mc (No. 186) and the conventional cell measures 4.5525, 4.5525 and 7.3324 Å, with angles of 90.00, 90.00 and 120.00 degrees. The distinct sites, in fractional coordinates, are Tb at (0.0000, 0.0000, 0.0000), Cu at (0.3333, 0.6667, 0.1857) and Sn at (0.3333, 0.6667, 0.7696).

As for the crystal system: hexagonal. The value obtained for the formation energy is -0.61 eV/atom. The calculation puts the total energy at -29.12 eV per cell. As for the volume: 131.6 Å³ per cell.

---

Computed, not measured: a relaxed TbCuSn crystal at the PBE level of DFT.

The space group is P6_3/mmc (No. 194) and the conventional cell measures 4.5445, 4.5445 and 7.5244 Å, with angles of 90.00, 90.00 and 120.00 degrees. The distinct sites, in fractional coordinates, are Tb at (0.0000, 0.0000, 0.0000), Cu at (0.3333, 0.6667, 0.2500) and Sn at (0.3333, 0.6667, 0.7500).

As for the crystal system: hexagonal. The value obtained for the formation energy is -0.57 eV/atom. The calculation puts the total energy at -28.89 eV per cell. As for the volume: 134.6 Å³ per cell.

---

Computed, not measured: a relaxed Tl2Cu2SnTe4 crystal at the PBE level of DFT.

The space group is Fmm2 (No. 42) and the conventional cell measures 11.970, 12.307 and 7.195 Å, with angles of 90.00, 90.00 and 90.00 degrees. The distinct sites, in fractional coordinates, are Tl at (0.250, 0.250, 0.000), Cu at (0.114, 0.000, 0.098), Sn at (0.000, 0.000, 0.505), Te at (0.000, 0.170, 0.240) and Te at (0.183, 0.000, 0.754).

As for the crystal system: orthorhombic. The value obtained for the formation energy is -0.37 eV/atom. The calculation puts the total energy at -124.49 eV per cell. As for the volume: 1059.9 Å³ per cell.